UNF5: optimized geometry, PBE-GGA.

```
28
Lattice="7.143 0.000 0.000 0.000 8.162 0.000 0.000 3.995 7.843" Properties=species:S:1:pos:R:3 pbc="T T T"
U 4.381 7.477 5.178
U 0.809 6.678 6.587
U 2.763 4.680 2.665
U 6.334 5.479 1.256
N 4.101 1.034 1.316
N 0.529 9.125 2.605
N 3.043 11.123 6.527
N 6.614 3.032 5.238
F 4.921 8.536 6.901
F 1.349 5.619 4.864
F 2.222 3.621 0.943
F 5.794 6.538 2.979
F 4.791 9.154 4.165
F 1.219 5.001 7.601
F 2.353 3.003 3.679
F 5.924 7.157 0.243
F 3.983 5.040 4.378
F 0.412 9.115 7.387
F 3.160 7.118 3.466
F 6.732 3.042 0.456
F 3.356 6.251 6.577
F 6.928 7.904 5.188
F 3.787 5.906 1.266
F 0.216 4.254 2.656
F 4.705 3.840 2.175
F 1.134 6.320 1.747
F 2.438 8.317 5.669
F 6.010 5.837 6.096
```

Results
* spin magnetization: 4.0 μB/f.u.
* ΔH_f (0 K): -2.480 eV/atom